The following is a DFT calculation (PBE) of crystalline LiGa2Ni at its relaxed geometry. Values from VASP.

Summary:
SG: No. 225

Geometry as Quantum ESPRESSO input:
```
&SYSTEM
  ibrav = 0, nat = 16, ntyp = 3
/
ATOMIC_SPECIES
Li 6.94 Li.upf
Ga 69.72 Ga.upf
Ni 58.69 Ni.upf
ATOMIC_POSITIONS crystal
Li 0.000 0.000 0.000
Li 0.000 0.500 0.500
Li 0.500 0.000 0.500
Li 0.500 0.500 0.000
Ga 0.250 0.250 0.250
Ga 0.250 0.250 0.750
Ga 0.250 0.750 0.250
Ga 0.250 0.750 0.750
Ga 0.750 0.250 0.250
Ga 0.750 0.250 0.750
Ga 0.750 0.750 0.250
Ga 0.750 0.750 0.750
Ni 0.000 0.000 0.500
Ni 0.000 0.500 0.000
Ni 0.500 0.000 0.000
Ni 0.500 0.500 0.500
CELL_PARAMETERS angstrom
5.930 0.000 0.000
0.000 5.930 0.000
0.000 0.000 5.930
```

The following is a DFT calculation (PBE) of crystalline Cu3Pd at its relaxed geometry. Values from VASP.

Summary:
SG: No. 99

Geometry as Quantum ESPRESSO input:
```
&SYSTEM
  ibrav = 0, nat = 28, ntyp = 2
/
ATOMIC_SPECIES
Cu 63.55 Cu.upf
Pd 106.42 Pd.upf
ATOMIC_POSITIONS crystal
Cu 0.000 0.000 0.000
Cu 0.000 0.000 0.141
Cu 0.000 0.000 0.285
Cu 0.000 0.500 0.071
Cu 0.000 0.500 0.213
Cu 0.000 0.500 0.358
Cu 0.000 0.500 0.502
Cu 0.000 0.500 0.646
Cu 0.000 0.500 0.789
Cu 0.000 0.500 0.930
Cu 0.500 0.000 0.071
Cu 0.500 0.000 0.213
Cu 0.500 0.000 0.358
Cu 0.500 0.000 0.502
Cu 0.500 0.000 0.646
Cu 0.500 0.000 0.789
Cu 0.500 0.000 0.930
Cu 0.500 0.500 0.430
Cu 0.500 0.500 0.574
Cu 0.500 0.500 0.717
Cu 0.500 0.500 0.860
Pd 0.000 0.000 0.430
Pd 0.000 0.000 0.574
Pd 0.000 0.000 0.717
Pd 0.000 0.000 0.859
Pd 0.500 0.500 0.000
Pd 0.500 0.500 0.142
Pd 0.500 0.500 0.286
CELL_PARAMETERS angstrom
3.721 0.000 0.000
0.000 3.721 0.000
0.000 0.000 25.870
```

The following is a DFT calculation (PBE) of crystalline Cu4Si4Pb4C4ClO28 at its relaxed geometry. Values from VASP.

Summary:
SG: No. 87

Geometry as Quantum ESPRESSO input:
```
&SYSTEM
  ibrav = 0, nat = 45, ntyp = 6
/
ATOMIC_SPECIES
Cu 63.55 Cu.upf
Si 28.09 Si.upf
Pb 207.20 Pb.upf
C 12.01 C.upf
Cl 35.45 Cl.upf
O 16.00 O.upf
ATOMIC_POSITIONS crystal
Cu 0.000 0.000 0.500
Cu 0.000 0.500 0.000
Cu 0.500 0.000 0.000
Cu 0.500 0.500 0.500
Si 0.111 0.117 0.228
Si 0.117 0.889 0.005
Si 0.883 0.111 0.995
Si 0.889 0.883 0.772
Pb 0.268 0.532 0.800
Pb 0.468 0.268 0.735
Pb 0.532 0.732 0.265
Pb 0.732 0.468 0.200
C 0.064 0.355 0.419
C 0.355 0.936 0.292
C 0.645 0.064 0.708
C 0.936 0.645 0.581
Cl 0.500 0.500 0.000
O 0.003 0.866 0.869
O 0.063 0.377 0.987
O 0.076 0.063 0.686
O 0.134 0.003 0.138
O 0.155 0.362 0.517
O 0.161 0.828 0.629
O 0.172 0.801 0.332
O 0.199 0.531 0.371
O 0.205 0.695 0.901
O 0.305 0.205 0.510
O 0.362 0.845 0.207
O 0.377 0.390 0.314
O 0.390 0.076 0.013
O 0.469 0.839 0.668
O 0.531 0.161 0.332
O 0.610 0.924 0.987
O 0.623 0.610 0.686
O 0.638 0.155 0.793
O 0.695 0.795 0.490
O 0.795 0.305 0.099
O 0.801 0.469 0.629
O 0.828 0.199 0.668
O 0.839 0.172 0.371
O 0.845 0.638 0.483
O 0.866 0.997 0.862
O 0.924 0.937 0.314
O 0.937 0.623 0.013
O 0.997 0.134 0.131
CELL_PARAMETERS angstrom
-7.069 7.069 3.086
7.069 -7.069 3.086
7.069 7.069 -3.086
```

The following is a DFT calculation (PBE) of crystalline Cr3SbAs2 at its relaxed geometry. Values from VASP.

Summary:
SG: No. 6

Geometry as Quantum ESPRESSO input:
```
&SYSTEM
  ibrav = 0, nat = 24, ntyp = 3
/
ATOMIC_SPECIES
Cr 52.00 Cr.upf
Sb 121.76 Sb.upf
As 74.92 As.upf
ATOMIC_POSITIONS crystal
Cr 0.000 0.000 0.000
Cr 0.024 0.500 0.508
Cr 0.137 0.500 0.326
Cr 0.201 0.000 0.854
Cr 0.321 0.000 0.660
Cr 0.357 0.500 0.174
Cr 0.468 0.500 0.992
Cr 0.528 0.000 0.514
Cr 0.668 0.000 0.332
Cr 0.705 0.500 0.856
Cr 0.812 0.500 0.657
Cr 0.868 0.000 0.189
Sb 0.024 0.000 0.658
Sb 0.356 0.000 0.321
Sb 0.632 0.000 0.715
Sb 0.690 0.000 0.997
As 0.044 0.500 0.136
As 0.302 0.000 0.043
As 0.320 0.500 0.522
As 0.379 0.500 0.802
As 0.656 0.500 0.190
As 0.711 0.500 0.468
As 0.969 0.000 0.377
As 0.993 0.500 0.858
CELL_PARAMETERS angstrom
8.697 0.000 0.000
0.000 3.698 0.000
-2.949 0.000 12.969
```

Number 1: energy relative to the elements -382 meV per atom. Number 2: energy relative to the elements -104 meV per atom. Number 3: energy relative to the elements -1776 meV per atom. Number 4: energy relative to the elements -52 meV per atom.